Below is a relaxed Li2FeF5 crystal, with properties calculated at the GGA+U level.

Cell: 7.2246 19.1997 5.4904 Å, 90.00 90.00 90.00°
Closest atoms and distances in Å follow each position.
Positions (direct):
Li1 0.1026 0.1533 0.0000  1 F 1.83
Li2 0.1936 0.5829 0.5000  3 F 1.96-2.06
Li3 0.2010 0.0160 0.0000  3 F 1.87-2.06
Li4 0.2351 0.7355 0.5000  3 F 1.94-2.03
Li5 0.2649 0.2355 0.5000  3 F 1.94-2.03
Li6 0.2990 0.5160 0.0000  3 F 1.87-2.06
Li7 0.3064 0.0829 0.5000  3 F 1.96-2.06
Li8 0.3974 0.6533 0.0000  1 F 1.83
Li9 0.6026 0.3467 0.0000  1 F 1.83
Li10 0.6936 0.9171 0.5000  3 F 1.96-2.06
Li11 0.7010 0.4840 0.0000  3 F 1.87-2.06
Li12 0.7351 0.7645 0.5000  3 F 1.94-2.03
Li13 0.7649 0.2645 0.5000  3 F 1.94-2.03
Li14 0.7990 0.9840 0.0000  3 F 1.87-2.06
Li15 0.8064 0.4171 0.5000  3 F 1.96-2.06
Li16 0.8974 0.8467 0.0000  1 F 1.83
Fe1 0.0101 0.3431 0.0000  6 F 1.88-1.98
Fe2 0.1273 0.8973 0.5000  6 F 1.93-1.98
Fe3 0.3727 0.3973 0.5000  6 F 1.93-1.98
Fe4 0.4899 0.8431 0.0000  6 F 1.88-1.98
Fe5 0.5101 0.1569 0.0000  6 F 1.88-1.98
Fe6 0.6273 0.6027 0.5000  6 F 1.93-1.98
Fe7 0.8727 0.1027 0.5000  6 F 1.93-1.98
Fe8 0.9899 0.6569 0.0000  6 F 1.88-1.98
F1 0.0192 0.8034 0.5000  1 Fe 1.96, 2 Li 2.03-2.18
F2 0.0427 0.0729 0.2398  1 Fe 1.97, 2 Li 2.06-2.07
F3 0.0427 0.0729 0.7602  1 Fe 1.97, 2 Li 2.06-2.07
F4 0.0523 0.2466 0.0000  1 Li 1.83, 1 Fe 1.88
F5 0.0699 0.5611 0.0000  1 Li 1.87, 1 Fe 1.93
F6 0.1776 0.6650 0.2582  3 Li 1.94-2.14, 1 Fe 1.97
F7 0.1776 0.6650 0.7418  3 Li 1.94-2.14, 1 Fe 1.97
F8 0.2046 0.3585 0.2488  2 Fe 1.98
F9 0.2046 0.3585 0.7512  2 Fe 1.98
F10 0.2275 0.4816 0.5000  1 Fe 1.93, 1 Li 1.96
F11 0.2725 0.9816 0.5000  1 Fe 1.93, 1 Li 1.96
F12 0.2954 0.8585 0.2488  2 Fe 1.98
F13 0.2954 0.8585 0.7512  2 Fe 1.98
F14 0.3224 0.1650 0.2582  3 Li 1.94-2.14, 1 Fe 1.97
F15 0.3224 0.1650 0.7418  3 Li 1.94-2.14, 1 Fe 1.97
F16 0.4301 0.0611 0.0000  1 Li 1.87, 1 Fe 1.93
F17 0.4477 0.7466 0.0000  1 Li 1.83, 1 Fe 1.88
F18 0.4573 0.5729 0.2398  1 Fe 1.97, 2 Li 2.06-2.07
F19 0.4573 0.5729 0.7602  1 Fe 1.97, 2 Li 2.06-2.07
F20 0.4808 0.3034 0.5000  1 Fe 1.96, 2 Li 2.03-2.18
F21 0.5192 0.6966 0.5000  1 Fe 1.96, 2 Li 2.03-2.18
F22 0.5427 0.4271 0.2398  1 Fe 1.97, 2 Li 2.06-2.07
F23 0.5427 0.4271 0.7602  1 Fe 1.97, 2 Li 2.06-2.07
F24 0.5523 0.2534 0.0000  1 Li 1.83, 1 Fe 1.88
F25 0.5699 0.9389 0.0000  1 Li 1.87, 1 Fe 1.93
F26 0.6776 0.8350 0.2582  3 Li 1.94-2.14, 1 Fe 1.97
F27 0.6776 0.8350 0.7418  3 Li 1.94-2.14, 1 Fe 1.97
F28 0.7046 0.1415 0.2488  2 Fe 1.98
F29 0.7046 0.1415 0.7512  2 Fe 1.98
F30 0.7275 0.0184 0.5000  1 Fe 1.93, 1 Li 1.96
F31 0.7725 0.5184 0.5000  1 Fe 1.93, 1 Li 1.96
F32 0.7954 0.6415 0.2488  2 Fe 1.98
F33 0.7954 0.6415 0.7512  2 Fe 1.98
F34 0.8224 0.3350 0.2582  3 Li 1.94-2.14, 1 Fe 1.97
F35 0.8224 0.3350 0.7418  3 Li 1.94-2.14, 1 Fe 1.97
F36 0.9301 0.4389 0.0000  1 Li 1.87, 1 Fe 1.93
F37 0.9477 0.7534 0.0000  1 Li 1.83, 1 Fe 1.88
F38 0.9573 0.9271 0.2398  1 Fe 1.97, 2 Li 2.06-2.07
F39 0.9573 0.9271 0.7602  1 Fe 1.97, 2 Li 2.06-2.07
F40 0.9808 0.1966 0.5000  1 Fe 1.96, 2 Li 2.03-2.18

Results
Energy relative to the lowest polymorph listed for this composition (kJ/mol of formula units): 61.3
Total magnetization (μB per formula unit): 5.000
Formation energy (meV per atom): -2836

Below is a relaxed LiFeF3 crystal, with properties calculated at the GGA+U level.

Cell: 6.9120 7.9736 21.2672 Å, 83.01 82.89 89.06°
Closest atoms and distances in Å follow each position.
Positions (direct):
Li1 0.0136 0.3679 0.4210  4 F 1.87-1.97
Li2 0.0349 0.9311 0.7962  4 F 1.85-1.93
Li3 0.1194 0.2183 0.0158  4 F 1.79-1.93
Li4 0.1618 0.8985 0.6517  4 F 1.86-2.00
Li5 0.1947 0.5254 0.2320  4 F 1.80-2.00
Li6 0.2430 0.8144 0.4443  3 F 1.85-1.94
Li7 0.2463 0.2020 0.8642  4 F 1.80-1.94
Li8 0.3249 0.4969 0.0891  4 F 1.82-1.91
Li9 0.3911 0.7957 0.2956  4 F 1.84-2.01
Li10 0.6089 0.2043 0.7044  4 F 1.84-2.01
Li11 0.6751 0.5031 0.9109  4 F 1.82-1.91
Li12 0.7537 0.7980 0.1358  4 F 1.80-1.94
Li13 0.7570 0.1856 0.5557  3 F 1.85-1.94
Li14 0.8053 0.4746 0.7680  4 F 1.80-2.00
Li15 0.8382 0.1015 0.3483  4 F 1.86-2.00
Li16 0.8806 0.7817 0.9842  4 F 1.79-1.93
Li17 0.9651 0.0689 0.2038  4 F 1.85-1.93
Li18 0.9864 0.6321 0.5790  4 F 1.87-1.97
Fe1 0.0848 0.2625 0.6634  4 F 1.97-2.18
Fe2 0.1065 0.5441 0.8996  3 F 2.00-2.12
Fe3 0.2652 0.8674 0.1327  4 F 1.99-2.19
Fe4 0.2679 0.1952 0.5069  4 F 1.96-2.18
Fe5 0.3087 0.5492 0.7382  2 F 1.93-2.13
Fe6 0.3494 0.1822 0.3463  5 F 1.98-2.20
Fe7 0.3959 0.8518 0.9664  5 F 2.01-2.22
Fe8 0.4428 0.5103 0.5820  4 F 1.99-2.17
Fe9 0.4923 0.1729 0.1888  4 F 1.96-2.19
Fe10 0.5077 0.8271 0.8112  4 F 1.96-2.19
Fe11 0.5572 0.4897 0.4180  4 F 1.99-2.17
Fe12 0.6041 0.1482 0.0336  5 F 2.01-2.22
Fe13 0.6506 0.8178 0.6537  5 F 1.98-2.20
Fe14 0.6913 0.4508 0.2618  2 F 1.93-2.13
Fe15 0.7321 0.8048 0.4931  4 F 1.96-2.18
Fe16 0.7348 0.1326 0.8673  4 F 1.99-2.19
Fe17 0.8935 0.4559 0.1004  3 F 2.00-2.12
Fe18 0.9152 0.7375 0.3366  4 F 1.97-2.18
F1 0.0215 0.1121 0.8436  2 Li 1.84-1.85, 1 Fe 1.99
F2 0.0215 0.7759 0.5022  2 Li 1.85-1.87, 1 Fe 2.04
F3 0.0422 0.4719 0.7098  1 Li 1.93, 2 Fe 2.04-2.13
F4 0.0630 0.2070 0.3628  2 Li 1.86-1.89, 1 Fe 1.98
F5 0.0737 0.0374 0.7135  2 Li 1.85-1.86, 1 Fe 1.97
F6 0.1146 0.5109 0.1556  2 Li 1.80-1.91
F7 0.1374 0.7969 0.9399  1 Li 1.90, 1 Fe 2.01
F8 0.1453 0.4223 0.0435  2 Li 1.81-1.82, 1 Fe 2.03
F9 0.1487 0.3019 0.9331  2 Li 1.79-1.80, 1 Fe 2.00
F10 0.1664 0.4496 0.5779  1 Li 1.90, 1 Fe 1.99
F11 0.1920 0.7535 0.3654  2 Li 1.88-1.90, 1 Fe 2.09
F12 0.2270 0.1120 0.1761  1 Li 1.86, 1 Fe 1.96
F13 0.2345 0.1011 0.5968  1 Li 1.91, 1 Fe 1.96
F14 0.2353 0.7594 0.7942  1 Li 1.93, 1 Fe 2.05
F15 0.2973 0.3810 0.4222  1 Li 1.97, 2 Fe 1.99-2.18
F16 0.3009 0.4283 0.8230  1 Li 1.93, 1 Fe 1.93
F17 0.3125 0.7379 0.2214  2 Li 1.84-1.87
F18 0.3238 0.0545 0.0284  1 Li 1.93, 1 Fe 2.11
F19 0.3515 0.0389 0.4388  1 Li 1.94, 2 Fe 2.05-2.15
F20 0.3615 0.7141 0.6484  1 Li 2.00, 2 Fe 2.18-2.20
F21 0.3805 0.7277 0.0613  1 Li 1.89, 1 Fe 2.07
F22 0.3943 0.3578 0.2596  1 Li 2.00, 2 Fe 2.17-2.20
F23 0.4037 0.3634 0.6728  1 Li 2.01, 2 Fe 2.12-2.19
F24 0.4415 0.0256 0.8734  1 Li 1.94
F25 0.4605 0.6705 0.4840  1 Li 2.08, 3 Fe 2.17-2.30
F26 0.4680 0.0255 0.2845  1 Li 1.89, 1 Fe 2.02
F27 0.4731 0.6669 0.9002  1 Li 1.91, 1 Fe 2.14
F28 0.5269 0.3331 0.0998  1 Li 1.91, 1 Fe 2.14
F29 0.5320 0.9745 0.7155  1 Li 1.89, 1 Fe 2.02
F30 0.5395 0.3295 0.5160  1 Li 2.08, 3 Fe 2.17-2.30
F31 0.5585 0.9744 0.1266  1 Li 1.94
F32 0.5963 0.6366 0.3272  1 Li 2.01, 2 Fe 2.12-2.19
F33 0.6057 0.6422 0.7404  1 Li 2.00, 2 Fe 2.17-2.20
F34 0.6195 0.2723 0.9387  1 Li 1.89, 1 Fe 2.07
F35 0.6385 0.2859 0.3516  1 Li 2.00, 2 Fe 2.18-2.20
F36 0.6485 0.9611 0.5612  1 Li 1.94, 2 Fe 2.05-2.15
F37 0.6762 0.9455 0.9716  1 Li 1.93, 1 Fe 2.11
F38 0.6875 0.2621 0.7786  2 Li 1.84-1.87
F39 0.6991 0.5717 0.1770  1 Li 1.93, 1 Fe 1.93
F40 0.7027 0.6190 0.5778  1 Li 1.97, 2 Fe 1.99-2.18
F41 0.7647 0.2406 0.2058  1 Li 1.93, 1 Fe 2.05
F42 0.7655 0.8989 0.4032  1 Li 1.91, 1 Fe 1.96
F43 0.7730 0.8880 0.8239  1 Li 1.86, 1 Fe 1.96
F44 0.8080 0.2465 0.6346  2 Li 1.88-1.90, 1 Fe 2.09
F45 0.8336 0.5504 0.4221  1 Li 1.90, 1 Fe 1.99
F46 0.8513 0.6981 0.0669  2 Li 1.79-1.80, 1 Fe 2.00
F47 0.8547 0.5777 0.9565  2 Li 1.81-1.82, 1 Fe 2.03
F48 0.8626 0.2031 0.0601  1 Li 1.90, 1 Fe 2.01
F49 0.8854 0.4891 0.8444  2 Li 1.80-1.91
F50 0.9263 0.9626 0.2865  2 Li 1.85-1.86, 1 Fe 1.97
F51 0.9370 0.7930 0.6372  2 Li 1.86-1.89, 1 Fe 1.98
F52 0.9578 0.5281 0.2902  1 Li 1.93, 2 Fe 2.04-2.13
F53 0.9785 0.2241 0.4978  2 Li 1.85-1.87, 1 Fe 2.04
F54 0.9785 0.8879 0.1564  2 Li 1.84-1.85, 1 Fe 1.99

Results
Energy relative to the lowest polymorph listed for this composition (kJ/mol of formula units): 81.2
Total magnetization (μB per formula unit): 0.778
Formation energy (meV per atom): -2629

Below is a relaxed Li2FeF6 crystal, with properties calculated at the GGA+U level.

Cell: 8.7608 8.7608 4.5080 Å, 90.70 90.70 59.35°
Closest atoms and distances in Å follow each position.
Positions (direct):
Li1 0.1511 0.8489 0.0000  4 F 1.94-2.08
Li2 0.1590 0.4928 0.9949  6 F 2.00-2.15
Li3 0.4928 0.1590 0.9949  6 F 2.00-2.15
Li4 0.5072 0.8410 0.0051  6 F 2.00-2.15
Li5 0.8410 0.5072 0.0051  6 F 2.00-2.15
Li6 0.8489 0.1511 0.0000  4 F 1.94-2.08
Fe1 0.1669 0.1669 0.4942  6 F 1.88-1.95
Fe2 0.5000 0.5000 0.0000  6 F 1.85-1.86
Fe3 0.8331 0.8331 0.5058  6 F 1.88-1.95
F1 0.0376 0.7274 0.2699  1 Fe 1.88
F2 0.0619 0.0619 0.2421  2 Li 1.94, 1 Fe 1.95
F3 0.0634 0.3716 0.2539  1 Fe 1.89, 2 Li 2.02-2.04
F4 0.2724 0.2724 0.7446  1 Fe 1.95, 2 Li 2.00
F5 0.2726 0.9624 0.7301  1 Fe 1.88
F6 0.2920 0.6056 0.7814  1 Fe 1.85
F7 0.3716 0.0634 0.2539  1 Fe 1.89, 2 Li 2.02-2.04
F8 0.3944 0.7080 0.2186  1 Fe 1.85
F9 0.3967 0.3967 0.2170  1 Fe 1.86, 2 Li 2.06
F10 0.6033 0.6033 0.7830  1 Fe 1.86, 2 Li 2.06
F11 0.6056 0.2920 0.7814  1 Fe 1.85
F12 0.6284 0.9366 0.7461  1 Fe 1.89, 2 Li 2.02-2.04
F13 0.7080 0.3944 0.2186  1 Fe 1.85
F14 0.7274 0.0376 0.2699  1 Fe 1.88
F15 0.7276 0.7276 0.2554  1 Fe 1.95, 2 Li 2.00
F16 0.9366 0.6284 0.7461  1 Fe 1.89, 2 Li 2.02-2.04
F17 0.9381 0.9381 0.7579  2 Li 1.94, 1 Fe 1.95
F18 0.9624 0.2726 0.7301  1 Fe 1.88

Results
Energy relative to the lowest polymorph listed for this composition (kJ/mol of formula units): 32.6
Total magnetization (μB per formula unit): 4.000
Formation energy (meV per atom): -2594

Below is a relaxed LiFeF3 crystal, with properties calculated at the GGA+U level.

Cell: 5.2645 5.2645 5.5866 Å, 117.46 117.46 59.64°
Closest atoms and distances in Å follow each position.
Positions (direct):
Li1 0.2451 0.7549 0.5000  3 F 1.96-1.97
Li2 0.7549 0.2451 0.0000  3 F 1.96-1.97
Fe1 0.0409 0.5410 0.8739  6 F 2.03-2.19
Fe2 0.5410 0.0409 0.3739  6 F 2.03-2.19
F1 0.1355 0.9455 0.1687  1 Li 1.96, 2 Fe 2.10-2.14
F2 0.3216 0.4599 0.6713  1 Li 1.97, 2 Fe 2.03-2.19
F3 0.4599 0.3216 0.1713  1 Li 1.97, 2 Fe 2.03-2.19
F4 0.6264 0.8357 0.6573  1 Li 1.97, 2 Fe 2.08-2.12
F5 0.8357 0.6264 0.1573  1 Li 1.97, 2 Fe 2.08-2.12
F6 0.9455 0.1355 0.6687  1 Li 1.96, 2 Fe 2.10-2.14

Results
Energy relative to the lowest polymorph listed for this composition (kJ/mol of formula units): 0.5
Total magnetization (μB per formula unit): 4.000
Formation energy (meV per atom): -2796

Below is a relaxed Li2FeF5 crystal, with properties calculated at the GGA+U level.

Cell: 9.8535 5.1336 7.3594 Å, 90.00 110.24 90.00°
Closest atoms and distances in Å follow each position.
Positions (direct):
Li1 0.0063 0.2171 0.1113  4 F 1.90-2.12
Li2 0.0063 0.2829 0.6113  4 F 1.90-2.12
Li3 0.2432 0.2471 0.4733  3 F 1.86-2.00
Li4 0.2432 0.2529 0.9733  3 F 1.86-2.00
Li5 0.7568 0.7471 0.0267  3 F 1.86-2.00
Li6 0.7568 0.7529 0.5267  3 F 1.86-2.00
Li7 0.9937 0.7171 0.3887  4 F 1.90-2.12
Li8 0.9937 0.7829 0.8887  4 F 1.90-2.12
Fe1 0.3518 0.7482 0.7132  6 F 1.89-2.04
Fe2 0.3518 0.7518 0.2132  6 F 1.89-2.04
Fe3 0.6482 0.2482 0.7868  6 F 1.89-2.04
Fe4 0.6482 0.2518 0.2868  6 F 1.89-2.04
F1 0.0547 0.1292 0.8673  4 Li 1.86-2.06
F2 0.0547 0.3708 0.3673  4 Li 1.86-2.06
F3 0.1788 0.5791 0.0696  1 Fe 1.89, 1 Li 2.00
F4 0.1788 0.9209 0.5696  1 Fe 1.89, 1 Li 2.00
F5 0.2608 0.0654 0.2436  1 Fe 1.89, 1 Li 1.99
F6 0.2608 0.4346 0.7436  1 Fe 1.89, 1 Li 1.99
F7 0.3563 0.5966 0.4613  2 Fe 1.98-2.03, 1 Li 2.13
F8 0.3563 0.9034 0.9613  2 Fe 1.98-2.03, 1 Li 2.13
F9 0.4538 0.0734 0.6657  2 Fe 2.02-2.04, 1 Li 2.25
F10 0.4538 0.4266 0.1657  2 Fe 2.02-2.04, 1 Li 2.25
F11 0.5462 0.5734 0.8343  2 Fe 2.02-2.04, 1 Li 2.25
F12 0.5462 0.9266 0.3343  2 Fe 2.02-2.04, 1 Li 2.25
F13 0.6437 0.0966 0.0387  2 Fe 1.98-2.03, 1 Li 2.13
F14 0.6437 0.4034 0.5387  2 Fe 1.98-2.03, 1 Li 2.13
F15 0.7392 0.5654 0.2564  1 Fe 1.89, 1 Li 1.99
F16 0.7392 0.9346 0.7564  1 Fe 1.89, 1 Li 1.99
F17 0.8212 0.0791 0.4304  1 Fe 1.89, 1 Li 2.00
F18 0.8212 0.4209 0.9304  1 Fe 1.89, 1 Li 2.00
F19 0.9453 0.6292 0.6327  4 Li 1.86-2.06
F20 0.9453 0.8708 0.1327  4 Li 1.86-2.06

Results
Energy relative to the lowest polymorph listed for this composition (kJ/mol of formula units): 25.0
Total magnetization (μB per formula unit): 5.000
Formation energy (meV per atom): -2883